#i
Density functional theory data (PBE-GGA) for a relaxed structure of Zr3N2O3.

Lattice parameters (Å, degrees): 5.7722 5.7722 10.8221 89.54 89.54 41.11
With the nearest neighbours (Å) after each atom.
Element x y z (fractional)
Zr: 0.8549 0.8549 0.9407  3 O 2.12-2.34, 3 N 2.13-2.22
Zr: 0.8149 0.8149 0.2482  4 O 2.09-2.29, 2 N 2.10-2.23
Zr: 0.1919 0.1919 0.7485  4 O 2.13-2.17, 2 N 2.18
Zr: 0.8623 0.8623 0.5550  1 O 2.07, 3 N 2.08-2.17
Zr: 0.1421 0.1421 0.0544  2 O 2.13-2.14, 3 N 2.14-2.21
Zr: 0.1347 0.1347 0.4400  2 N 2.07-2.26, 4 O 2.12-2.30
O: 0.7536 0.7536 0.7510  3 Zr 2.13-2.34
O: 0.0432 0.0432 0.8839  3 Zr 2.12-2.17
O: 0.2434 0.2434 0.2562  3 Zr 2.17-2.30
O: 0.6896 0.6896 0.4195  3 Zr 2.12-2.29
O: 0.0420 0.0420 0.6190  3 Zr 2.07-2.17
O: 0.9538 0.9538 0.1127  3 Zr 2.09-2.15
N: 0.2969 0.2969 0.9194  4 Zr 2.13-2.21
N: 0.9521 0.9521 0.3843  3 Zr 2.07-2.10
N: 0.7009 0.7009 0.0778  4 Zr 2.14-2.23
N: 0.2942 0.2942 0.5743  4 Zr 2.17-2.26

Computed properties:
total magnetization = 0.00 μB per formula unit
SG = Cm, No. 8
largest piezoelectric modulus = 0.674 C/m2
theoretical density = 4.90 g cm⁻³

---

#ii
Density functional theory data (PBE-GGA) for a relaxed structure of Zr3N2O3.

Lattice parameters (Å, degrees): 5.7285 5.7285 10.7485 89.69 89.69 41.88
With the nearest neighbours (Å) after each atom.
Element x y z (fractional)
Zr: 0.8540 0.8540 0.9371  2 O 2.11-2.22, 4 N 2.14-2.29
Zr: 0.1375 0.1375 0.4374  2 O 2.03-2.12, 2 N 2.16
Zr: 0.1930 0.1930 0.7563  3 O 2.09-2.32, 3 N 2.14-2.19
Zr: 0.8067 0.8067 0.2482  4 O 2.11-2.16, 2 N 2.15-2.22
Zr: 0.8554 0.8554 0.5656  4 O 2.11-2.25, 2 N 2.15-2.23
Zr: 0.1416 0.1416 0.0588  2 O 2.09-2.15, 3 N 2.15-2.20
N: 0.2982 0.2982 0.9256  4 Zr 2.14-2.20
N: 0.6981 0.6981 0.0806  4 Zr 2.15-2.27
N: 0.7012 0.7012 0.4265  4 Zr 2.16-2.23
N: 0.7642 0.7642 0.7448  4 Zr 2.15-2.29
O: 0.3050 0.3050 0.5713  4 Zr 2.12-2.32
O: 0.0444 0.0444 0.8839  3 Zr 2.09-2.15
O: 0.9570 0.9570 0.3814  3 Zr 2.03-2.25
O: 0.0463 0.0463 0.6130  3 Zr 2.11-2.21
O: 0.9546 0.9546 0.1173  3 Zr 2.09-2.22
O: 0.2430 0.2430 0.2521  4 Zr 2.16-2.35

Computed properties:
SG = Cm, No. 8
largest piezoelectric modulus = 0.511 C/m2
theoretical density = 4.93 g cm⁻³

---

Relative energies with respect to the most stable structure, expressed in meV per atom: #i 32; #ii 0.

---

#i
Density functional theory data (PBE-GGA) for a relaxed structure of Zr3N2O3.

Lattice parameters (Å, degrees): 5.7774 5.7774 10.8921 90.00 90.00 139.38
With the nearest neighbours (Å) after each atom.
Element x y z (fractional)
N: 0.2947 0.7053 0.0756  4 Zr 2.16-2.27
N: 0.0470 0.9530 0.3852  3 Zr 2.07-2.12
N: 0.9530 0.0470 0.8852  3 Zr 2.07-2.12
N: 0.7053 0.2947 0.5756  4 Zr 2.16-2.27
Zr: 0.8639 0.1361 0.4398  2 N 2.07-2.27, 4 O 2.11-2.28
Zr: 0.1361 0.8639 0.9398  2 N 2.07-2.27, 4 O 2.11-2.28
Zr: 0.8138 0.1862 0.7489  4 O 2.10-2.28, 2 N 2.12-2.22
Zr: 0.8645 0.1355 0.0538  3 N 2.07-2.16, 1 O 2.07
Zr: 0.1862 0.8138 0.2489  4 O 2.10-2.28, 2 N 2.12-2.22
Zr: 0.1355 0.8645 0.5538  3 N 2.07-2.16, 1 O 2.07
O: 0.3072 0.6928 0.4197  3 Zr 2.11-2.28
O: 0.9552 0.0448 0.6170  3 Zr 2.07-2.17
O: 0.7565 0.2435 0.2600  3 Zr 2.15-2.28
O: 0.6928 0.3072 0.9197  3 Zr 2.11-2.28
O: 0.2435 0.7565 0.7600  3 Zr 2.15-2.28
O: 0.0448 0.9552 0.1170  3 Zr 2.07-2.17

Computed properties:
total magnetization = 0.00 μB per formula unit
SG = Cmc2_1, No. 36
largest piezoelectric modulus = 0.961 C/m2
theoretical density = 4.91 g cm⁻³

---

#ii
Density functional theory data (PBE-GGA) for a relaxed structure of Zr3N2O3.

Lattice parameters (Å, degrees): 5.7467 5.7467 10.7812 90.00 90.00 138.34
With the nearest neighbours (Å) after each atom.
Element x y z (fractional)
Zr: 0.8079 0.1921 0.2500  4 O 2.15, 2 N 2.17
Zr: 0.1921 0.8079 0.7500  4 O 2.15, 2 N 2.17
Zr: 0.1433 0.8567 0.0566  3 O 2.11-2.36, 3 N 2.15-2.22
Zr: 0.1433 0.8567 0.4434  3 O 2.11-2.36, 3 N 2.15-2.22
Zr: 0.8567 0.1433 0.9434  3 O 2.11-2.36, 3 N 2.15-2.22
Zr: 0.8567 0.1433 0.5566  3 O 2.11-2.36, 3 N 2.15-2.22
O: 0.9563 0.0437 0.3841  3 Zr 2.11-2.15
O: 0.0437 0.9563 0.8841  3 Zr 2.11-2.15
O: 0.7543 0.2457 0.7500  4 Zr 2.15-2.36
O: 0.2457 0.7543 0.2500  4 Zr 2.15-2.36
O: 0.9563 0.0437 0.1159  3 Zr 2.11-2.15
O: 0.0437 0.9563 0.6159  3 Zr 2.11-2.15
N: 0.7010 0.2990 0.0788  4 Zr 2.15-2.22
N: 0.2990 0.7010 0.9212  4 Zr 2.15-2.22
N: 0.7010 0.2990 0.4212  4 Zr 2.15-2.22
N: 0.2990 0.7010 0.5788  4 Zr 2.15-2.22

Computed properties:
SG = Cmcm, No. 63
theoretical density = 4.91 g cm⁻³

---

Relative energies with respect to the most stable structure, expressed in meV per atom: #i 60; #ii 0.

---

#i
Density functional theory data (PBE-GGA) for a relaxed structure of Zr4N2O5.

Lattice parameters (Å, degrees): 8.8959 8.8965 8.9068 109.37 109.37 109.58
With the nearest neighbours (Å) after each atom.
Element x y z (fractional)
N: 0.2501 0.0227 0.5006  4 Zr 2.11-2.22
N: 0.9954 0.7132 0.4990  4 Zr 2.13-2.26
N: 0.9967 0.2628 0.0289  4 Zr 2.15-2.24
N: 0.5013 0.9990 0.2819  4 Zr 2.15-2.24
N: 0.2301 0.9655 0.9668  4 Zr 2.16-2.25
N: 0.5213 0.7482 0.5003  4 Zr 2.13-2.22
N: 0.2140 0.4981 0.5019  4 Zr 2.13-2.30
N: 0.7647 0.4958 0.0304  4 Zr 2.17-2.23
O: 0.0175 0.5167 0.7700  4 Zr 2.14-2.27
O: 0.2371 0.2665 0.7622  4 Zr 2.13-2.22
O: 0.7321 0.7693 0.2687  4 Zr 2.14-2.32
O: 0.9390 0.2005 0.4988  4 Zr 2.23-2.30
O: 0.2730 0.2386 0.2766  4 Zr 2.15-2.34
O: 0.4774 0.2313 0.9713  4 Zr 2.17-2.21
O: 0.7514 0.2520 0.2294  4 Zr 2.13-2.29
O: 0.0061 0.7600 0.0291  4 Zr 2.13-2.29
O: 0.7169 0.2171 0.7162  4 Zr 2.19-2.31
O: 0.4631 0.7323 0.9658  4 Zr 2.22-2.38
O: 0.4479 0.9471 0.7411  4 Zr 2.19-2.27
O: 0.2045 0.7055 0.2616  4 Zr 2.18-2.27
O: 0.7274 0.9737 0.9748  4 Zr 2.13-2.31
O: 0.4991 0.4659 0.7283  4 Zr 2.15-2.32
O: 0.9601 0.9975 0.7214  4 Zr 2.16-2.35
O: 0.2646 0.5109 0.0296  4 Zr 2.14-2.32
O: 0.7028 0.4411 0.5024  4 Zr 2.21-2.32
O: 0.5056 0.4736 0.2393  4 Zr 2.16-2.22
O: 0.7672 0.7378 0.7619  4 Zr 2.14-2.22
O: 0.9764 0.0062 0.2403  4 Zr 2.16-2.23
Zr: 0.7428 0.6989 0.4993  2 N 2.16-2.21, 5 O 2.16-2.32
Zr: 0.2173 0.0005 0.7300  4 O 2.19-2.25, 3 N 2.20-2.26
Zr: 0.2541 0.7598 0.0458  2 N 2.15-2.21, 5 O 2.16-2.27
Zr: 0.7150 0.2126 0.9604  5 O 2.19-2.27, 2 N 2.21-2.23
Zr: 0.5015 0.7207 0.7243  2 N 2.15-2.24, 5 O 2.18-2.27
Zr: 0.5087 0.4940 0.0007  7 O 2.17-2.38, 1 N 2.20
Zr: 0.4742 0.2088 0.2059  5 O 2.15-2.32, 2 N 2.16-2.24
Zr: 0.2707 0.4871 0.2663  4 O 2.17-2.25, 3 N 2.22-2.30
Zr: 0.9644 0.4652 0.5003  4 O 2.13-2.28, 2 N 2.13
Zr: 0.7158 0.9810 0.2123  6 O 2.13-2.27, 1 N 2.23
Zr: 0.0141 0.2749 0.7973  6 O 2.13-2.31, 1 N 2.15
Zr: 0.9880 0.7722 0.2698  4 O 2.17-2.27, 3 N 2.22-2.26
Zr: 0.4542 0.9553 0.4939  3 N 2.11-2.19, 3 O 2.18-2.25
Zr: 0.2008 0.2434 0.4994  2 N 2.15-2.22, 5 O 2.16-2.31
Zr: 0.0042 0.0056 0.0000  6 O 2.22-2.35, 2 N 2.24-2.25
Zr: 0.7723 0.5121 0.7952  6 O 2.13-2.30, 1 N 2.17

Computed properties:
total magnetization = 0.00 μB per formula unit
SG = P1, No. 1
theoretical density = 5.78 g cm⁻³

---

#ii
Density functional theory data (PBE-GGA) for a relaxed structure of Zr4N2O5.

Lattice parameters (Å, degrees): 8.9078 8.9078 8.9078 109.15 109.15 110.11
With the nearest neighbours (Å) after each atom.
Element x y z (fractional)
Zr: 0.0014 0.0014 0.0000  8 O 2.20-2.30
Zr: 0.0086 0.2224 0.7253  2 N 2.17-2.23, 5 O 2.18-2.25
Zr: 0.7224 0.5086 0.7253  2 N 2.17-2.23, 5 O 2.18-2.25
Zr: 0.0365 0.5365 0.5000  4 N 2.15-2.18, 2 O 2.32
Zr: 0.7969 0.7537 0.5000  5 O 2.17-2.30, 2 N 2.17-2.19
Zr: 0.5014 0.5014 0.0000  8 O 2.20-2.30
Zr: 0.7832 0.9971 0.2747  2 N 2.17-2.23, 5 O 2.18-2.25
Zr: 0.5086 0.7832 0.7862  2 N 2.17-2.23, 5 O 2.18-2.25
Zr: 0.9971 0.7224 0.2138  2 N 2.17-2.23, 5 O 2.18-2.25
Zr: 0.2224 0.4971 0.2138  2 N 2.17-2.23, 5 O 2.18-2.25
Zr: 0.5365 0.0365 0.5000  4 N 2.15-2.18, 2 O 2.32
Zr: 0.4971 0.2832 0.2747  2 N 2.17-2.23, 5 O 2.18-2.25
Zr: 0.2537 0.2969 0.5000  5 O 2.17-2.30, 2 N 2.17-2.19
Zr: 0.2969 0.7969 0.0432  5 O 2.17-2.30, 2 N 2.17-2.19
Zr: 0.7537 0.2537 0.9568  5 O 2.17-2.30, 2 N 2.17-2.19
Zr: 0.2832 0.0086 0.7862  2 N 2.17-2.23, 5 O 2.18-2.25
O: 0.5005 0.5329 0.2663  4 Zr 2.24-2.30
O: 0.2654 0.0250 0.0326  4 Zr 2.17-2.21
O: 0.9924 0.2328 0.9674  4 Zr 2.17-2.21
O: 0.5588 0.0588 0.2552  4 Zr 2.22-2.32
O: 0.3036 0.5588 0.5000  4 Zr 2.22-2.32
O: 0.2342 0.5005 0.9676  4 Zr 2.24-2.30
O: 0.7666 0.0329 0.0324  4 Zr 2.24-2.30
O: 0.0588 0.8036 0.5000  4 Zr 2.22-2.32
O: 0.7654 0.7328 0.2404  4 Zr 2.17-2.21
O: 0.0329 0.0005 0.2663  4 Zr 2.24-2.30
O: 0.5329 0.2666 0.0324  4 Zr 2.24-2.30
O: 0.4924 0.5250 0.7596  4 Zr 2.17-2.21
O: 0.0005 0.7342 0.9676  4 Zr 2.24-2.30
O: 0.8036 0.3036 0.7448  4 Zr 2.22-2.32
O: 0.7342 0.7666 0.7337  4 Zr 2.24-2.30
O: 0.0250 0.9924 0.7596  4 Zr 2.17-2.21
O: 0.2666 0.2342 0.7337  4 Zr 2.24-2.30
O: 0.7328 0.4924 0.9674  4 Zr 2.17-2.21
O: 0.2328 0.2654 0.2404  4 Zr 2.17-2.21
O: 0.5250 0.7654 0.0326  4 Zr 2.17-2.21
N: 0.7825 0.5029 0.5000  4 Zr 2.18-2.23
N: 0.2509 0.7509 0.7730  4 Zr 2.15-2.17
N: 0.5029 0.0029 0.7204  4 Zr 2.18-2.23
N: 0.7509 0.9779 0.5000  4 Zr 2.15-2.17
N: 0.0029 0.2825 0.5000  4 Zr 2.18-2.23
N: 0.4779 0.2509 0.5000  4 Zr 2.15-2.17
N: 0.2825 0.7825 0.2796  4 Zr 2.18-2.23
N: 0.9779 0.4779 0.2270  4 Zr 2.15-2.17

Computed properties:
total magnetization = 0.00 μB per formula unit
SG = I4cm, No. 108
theoretical density = 5.77 g cm⁻³

---

#iii
Density functional theory data (PBE-GGA) for a relaxed structure of Zr4N2O5.

Lattice parameters (Å, degrees): 8.8746 8.8968 8.9061 109.33 109.55 109.25
With the nearest neighbours (Å) after each atom.
Element x y z (fractional)
N: 0.9793 0.2272 0.4802  4 Zr 2.08-2.19
N: 0.5011 0.7196 0.0029  4 Zr 2.18-2.23
N: 0.2878 0.2830 0.7850  4 Zr 2.14-2.29
N: 0.2661 0.7323 0.2355  4 Zr 2.14-2.23
N: 0.9997 0.9687 0.7392  4 Zr 2.11-2.24
N: 0.7548 0.5007 0.9811  4 Zr 2.10-2.23
N: 0.7716 0.0337 0.0323  4 Zr 2.16-2.27
N: 0.7825 0.4973 0.4991  4 Zr 2.16-2.26
Zr: 0.0357 0.4940 0.5430  2 N 2.08-2.16, 4 O 2.15-2.25
Zr: 0.7950 0.4972 0.7539  2 N 2.16-2.24, 5 O 2.16-2.30
Zr: 0.9928 0.2069 0.7223  4 O 2.15-2.30, 3 N 2.19-2.29
Zr: 0.9992 0.0052 0.9996  2 N 2.22-2.23, 6 O 2.22-2.42
Zr: 0.2884 0.0473 0.7974  2 N 2.14-2.24, 5 O 2.16-2.29
Zr: 0.7418 0.7404 0.5248  2 N 2.11-2.26, 5 O 2.17-2.34
Zr: 0.2571 0.5073 0.2983  6 O 2.15-2.24, 1 N 2.23
Zr: 0.5428 0.5019 0.0354  3 N 2.10-2.18, 3 O 2.17-2.26
Zr: 0.7576 0.9580 0.2490  4 O 2.16-2.32, 3 N 2.18-2.27
Zr: 0.0127 0.7315 0.2199  5 O 2.11-2.33, 2 N 2.17-2.20
Zr: 0.2853 0.7861 0.0238  2 N 2.14-2.23, 5 O 2.17-2.32
Zr: 0.2253 0.2165 0.4985  2 N 2.17-2.24, 5 O 2.18-2.27
Zr: 0.7745 0.2597 0.9871  5 O 2.13-2.37, 2 N 2.17-2.23
Zr: 0.4926 0.9868 0.4938  7 O 2.18-2.36, 1 N 2.22
Zr: 0.5245 0.7942 0.7943  5 O 2.16-2.33, 2 N 2.16-2.22
Zr: 0.4994 0.2679 0.2854  6 O 2.15-2.25, 1 N 2.22
O: 0.0020 0.9707 0.2409  4 Zr 2.11-2.26
O: 0.2396 0.2444 0.2644  4 Zr 2.18-2.23
O: 0.5011 0.7579 0.5297  4 Zr 2.17-2.21
O: 0.5175 0.0290 0.7629  4 Zr 2.13-2.22
O: 0.0046 0.4991 0.2887  4 Zr 2.19-2.37
O: 0.0428 0.2868 0.0096  4 Zr 2.24-2.37
O: 0.7289 0.9643 0.4855  4 Zr 2.17-2.22
O: 0.5002 0.2657 0.5340  4 Zr 2.22-2.36
O: 0.0200 0.7593 0.9871  4 Zr 2.16-2.22
O: 0.7229 0.7175 0.7616  3 Zr 2.16-2.24
O: 0.5392 0.0392 0.2714  4 Zr 2.15-2.32
O: 0.4766 0.4990 0.2487  4 Zr 2.15-2.34
O: 0.0589 0.5033 0.7975  4 Zr 2.18-2.30
O: 0.2508 0.7696 0.7477  4 Zr 2.15-2.32
O: 0.2752 0.0279 0.0281  4 Zr 2.16-2.31
O: 0.2272 0.9641 0.5046  4 Zr 2.24-2.33
O: 0.7985 0.7373 0.2989  4 Zr 2.22-2.26
O: 0.5603 0.2638 0.0630  4 Zr 2.21-2.29
O: 0.2948 0.4999 0.5538  4 Zr 2.21-2.33
O: 0.7658 0.2377 0.7345  4 Zr 2.15-2.29

Computed properties:
total magnetization = 0.00 μB per formula unit
SG = P1, No. 1
theoretical density = 5.78 g cm⁻³

---

Relative energies with respect to the most stable structure, expressed in meV per atom: #i 15; #ii 0; #iii 6.